[1]
The following is a DFT calculation (GGA-PBE) of an optimized crystal structure of MnFe4Si3.

Calculated values
ΔH_f (0 K)   -0.35 eV/atom
Space-group type   Amm2, No. 38
Crystal system   orthorhombic
Corrected total energy (MP2020 scheme)   -124.267 eV for the cell shown

```
MnFe4Si3
1.0
4.690 0.000 0.000
0.000 5.798 3.386
0.000 -5.798 3.386
Mn Fe Si
2 8 6
Direct
0.000 0.114 0.886
0.000 0.886 0.114
0.000 0.647 0.647
0.250 0.215 0.552
0.250 0.552 0.215
0.500 0.131 0.131
0.500 0.645 0.884
0.500 0.884 0.645
0.750 0.215 0.552
0.750 0.552 0.215
0.000 0.292 0.292
0.000 0.483 0.880
0.000 0.880 0.483
0.500 0.279 0.885
0.500 0.491 0.491
0.500 0.885 0.279
```


[2]
The following is a DFT calculation (GGA-PBE) of an optimized crystal structure of Mn5Fe5Si6.

Calculated values
ΔH_f (0 K)   -0.35 eV/atom
Space-group type   Amm2, No. 38
Energy above the most stable polymorph in this dataset   0.0 meV/atom
Crystal system   orthorhombic
Corrected total energy (MP2020 scheme)   -126.296 eV for the cell shown

```
Mn5Fe5Si6
1.0
4.695 0.000 0.000
0.000 5.840 3.442
0.000 -5.840 3.442
Mn Fe Si
5 5 6
Direct
0.000 0.000 0.000
0.000 0.242 0.471
0.000 0.471 0.242
0.500 0.008 0.241
0.500 0.241 0.008
0.250 0.576 0.914
0.250 0.914 0.576
0.500 0.493 0.493
0.750 0.576 0.914
0.750 0.914 0.576
0.000 0.242 0.840
0.000 0.645 0.645
0.000 0.840 0.242
0.500 0.248 0.642
0.500 0.642 0.248
0.500 0.838 0.838
```


[3]
The following is a DFT calculation (GGA-PBE) of an optimized crystal structure of Mn3Fe3Si2.

Calculated values
ΔH_f (0 K)   -0.26 eV/atom
Space-group type   R3m, No. 160
Crystal system   trigonal
Corrected total energy (MP2020 scheme)   -65.789 eV for the cell shown

```
Mn3Fe3Si2
1.0
1.986 1.146 6.489
-1.986 1.146 6.489
0.000 -2.293 6.489
Mn Fe Si
3 3 2
Direct
0.000 0.000 0.000
0.250 0.250 0.250
0.500 0.500 0.500
0.125 0.125 0.125
0.625 0.625 0.625
0.750 0.750 0.750
0.375 0.375 0.375
0.875 0.875 0.875
```


[4]
The following is a DFT calculation (GGA-PBE) of an optimized crystal structure of Mn5Fe5Si6.

Calculated values
ΔH_f (0 K)   -0.32 eV/atom
Space-group type   Amm2, No. 38
Energy above the most stable polymorph in this dataset   33.0 meV/atom
Crystal system   orthorhombic
Corrected total energy (MP2020 scheme)   -125.767 eV for the cell shown

```
Mn5Fe5Si6
1.0
4.642 0.000 0.000
0.000 5.917 3.363
0.000 -5.917 3.363
Mn Fe Si
5 5 6
Direct
0.000 0.000 0.000
0.250 0.571 0.899
0.250 0.899 0.571
0.750 0.571 0.899
0.750 0.899 0.571
0.000 0.228 0.476
0.000 0.476 0.228
0.500 0.233 0.984
0.500 0.471 0.471
0.500 0.984 0.233
0.000 0.238 0.835
0.000 0.618 0.618
0.000 0.835 0.238
0.500 0.232 0.623
0.500 0.623 0.232
0.500 0.841 0.841
```


[5]
The following is a DFT calculation (GGA-PBE) of an optimized crystal structure of MnVFe4Si2.

Calculated values
ΔH_f (0 K)   -0.42 eV/atom
Space-group type   R-3m, No. 166
Crystal system   trigonal
Corrected total energy (MP2020 scheme)   -66.316 eV for the cell shown

```
MnVFe4Si2
1.0
1.986 1.146 6.469
-1.986 1.146 6.469
0.000 -2.293 6.469
Mn V Fe Si
1 1 4 2
Direct
0.000 0.000 0.000
0.500 0.500 0.500
0.127 0.127 0.127
0.377 0.377 0.377
0.623 0.623 0.623
0.873 0.873 0.873
0.252 0.252 0.252
0.748 0.748 0.748
```


[6]
The following is a DFT calculation (GGA-PBE) of an optimized crystal structure of Sm2Mn2Fe15.

Calculated values
ΔH_f (0 K)   0.06 eV/atom
Space-group type   R-3m, No. 166
Crystal system   trigonal

```
Sm2Mn2Fe15
1.0
4.234 2.444 4.117
-4.234 2.444 4.117
0.000 -4.889 4.117
Sm Mn Fe
2 2 15
Direct
0.153 0.153 0.153
0.847 0.847 0.847
0.404 0.404 0.404
0.596 0.596 0.596
0.000 0.500 0.500
0.161 0.161 0.652
0.161 0.652 0.161
0.212 0.500 0.788
0.212 0.788 0.500
0.348 0.839 0.839
0.500 0.000 0.500
0.500 0.212 0.788
0.500 0.500 0.000
0.500 0.788 0.212
0.652 0.161 0.161
0.788 0.212 0.500
0.788 0.500 0.212
0.839 0.348 0.839
0.839 0.839 0.348
```


[7]
The following is a DFT calculation (GGA-PBE) of an optimized crystal structure of MnFeSn4.

Calculated values
ΔH_f (0 K)   0.02 eV/atom
Space-group type   I422, No. 97
Crystal system   tetragonal

```
MnFeSn4
1.0
6.510 0.000 0.000
0.000 6.510 0.000
0.000 0.000 5.308
Mn Fe Sn
2 2 8
Direct
0.000 0.000 0.000
0.500 0.500 0.500
0.000 0.000 0.500
0.500 0.500 0.000
0.163 0.337 0.250
0.163 0.663 0.750
0.337 0.163 0.750
0.337 0.837 0.250
0.663 0.163 0.250
0.663 0.837 0.750
0.837 0.337 0.750
0.837 0.663 0.250
```


[8]
The following is a DFT calculation (GGA-PBE) of an optimized crystal structure of Y6Mn14Fe9.

Calculated values
ΔH_f (0 K)   0.07 eV/atom
Space-group type   Fm-3m, No. 225
Crystal system   cubic

```
Y6Mn14Fe9
1.0
0.000 5.998 5.998
5.998 0.000 5.998
5.998 5.998 0.000
Y Mn Fe
6 14 9
Direct
0.206 0.206 0.794
0.206 0.794 0.206
0.206 0.794 0.794
0.794 0.206 0.206
0.794 0.206 0.794
0.794 0.794 0.206
0.000 0.000 0.500
0.000 0.500 0.000
0.000 0.500 0.500
0.141 0.620 0.620
0.380 0.380 0.380
0.380 0.380 0.859
0.380 0.859 0.380
0.500 0.000 0.000
0.500 0.000 0.500
0.500 0.500 0.000
0.620 0.141 0.620
0.620 0.620 0.141
0.620 0.620 0.620
0.859 0.380 0.380
0.180 0.180 0.180
0.180 0.180 0.460
0.180 0.460 0.180
0.460 0.180 0.180
0.500 0.500 0.500
0.540 0.820 0.820
0.820 0.540 0.820
0.820 0.820 0.540
0.820 0.820 0.820
```


[9]
The following is a DFT calculation (GGA-PBE) of an optimized crystal structure of Zr2MnFe3.

Calculated values
ΔH_f (0 K)   -0.26 eV/atom
Space-group type   R-3m, No. 166
Crystal system   trigonal

```
Zr2MnFe3
1.0
2.488 1.436 4.124
-2.488 1.436 4.124
0.000 -2.872 4.124
Zr Mn Fe
2 1 3
Direct
0.125 0.125 0.125
0.875 0.875 0.875
0.500 0.500 0.500
0.000 0.500 0.500
0.500 0.000 0.500
0.500 0.500 0.000
```


[10]
The following is a DFT calculation (GGA-PBE) of an optimized crystal structure of Fe25Mo4.

Calculated values
ΔH_f (0 K)   0.09 eV/atom
Space-group type   I-43m, No. 217
Crystal system   cubic

```
Fe25Mo4
1.0
-4.423 4.423 4.423
4.423 -4.423 4.423
4.423 4.423 -4.423
Fe Mo
25 4
Direct
0.000 0.000 0.000
0.000 0.189 0.376
0.000 0.376 0.189
0.000 0.405 0.679
0.000 0.679 0.405
0.187 0.811 0.811
0.189 0.000 0.376
0.189 0.376 0.000
0.274 0.595 0.595
0.321 0.321 0.726
0.321 0.726 0.321
0.376 0.000 0.189
0.376 0.189 0.000
0.405 0.000 0.679
0.405 0.679 0.000
0.595 0.274 0.595
0.595 0.595 0.274
0.624 0.624 0.813
0.624 0.813 0.624
0.679 0.000 0.405
0.679 0.405 0.000
0.726 0.321 0.321
0.811 0.187 0.811
0.811 0.811 0.187
0.813 0.624 0.624
0.000 0.000 0.634
0.000 0.634 0.000
0.366 0.366 0.366
0.634 0.000 0.000
```


[11]
The following is a DFT calculation (GGA-PBE) of an optimized crystal structure of Fe2Mo.

Calculated values
ΔH_f (0 K)   0.00 eV/atom
Space-group type   P6_3/mmc, No. 194
Crystal system   hexagonal

```
Fe2Mo
1.0
4.676 0.000 0.000
-2.338 4.050 0.000
0.000 0.000 7.781
Fe Mo
8 4
Direct
0.000 0.000 0.000
0.000 0.000 0.500
0.171 0.341 0.250
0.171 0.829 0.250
0.341 0.171 0.750
0.659 0.829 0.250
0.829 0.171 0.750
0.829 0.659 0.750
0.333 0.667 0.568
0.333 0.667 0.932
0.667 0.333 0.068
0.667 0.333 0.432
```


[12]
The following is a DFT calculation (GGA-PBE) of an optimized crystal structure of FeMo2.

Calculated values
ΔH_f (0 K)   0.06 eV/atom
Space-group type   Fmmm, No. 69
Crystal system   orthorhombic

```
FeMo2
1.0
3.161 0.000 0.000
0.000 4.288 0.000
0.000 0.000 12.884
Fe Mo
4 8
Direct
0.000 0.000 0.000
0.000 0.500 0.500
0.500 0.000 0.500
0.500 0.500 0.000
0.000 0.000 0.339
0.000 0.000 0.661
0.000 0.500 0.161
0.000 0.500 0.839
0.500 0.000 0.161
0.500 0.000 0.839
0.500 0.500 0.339
0.500 0.500 0.661
```


[13]
The following is a DFT calculation (GGA-PBE) of an optimized crystal structure of Fe4Mo2N.

Calculated values
ΔH_f (0 K)   -0.11 eV/atom
Space-group type   I-4m2, No. 119
Crystal system   tetragonal
Corrected total energy (MP2020 scheme)   -258.739 eV for the cell shown

```
Fe4Mo2N
1.0
-3.867 3.867 5.410
3.867 -3.867 5.410
3.867 3.867 -5.410
Fe Mo N
16 8 4
Direct
0.000 0.665 0.335
0.124 0.371 0.248
0.124 0.876 0.248
0.124 0.876 0.752
0.243 0.081 0.162
0.305 0.305 0.610
0.305 0.695 0.000
0.330 0.665 0.665
0.335 0.000 0.665
0.335 0.670 0.335
0.629 0.876 0.752
0.695 0.305 0.000
0.695 0.695 0.390
0.919 0.081 0.162
0.919 0.081 0.838
0.919 0.757 0.838
0.306 0.306 0.000
0.552 0.052 0.103
0.552 0.448 0.500
0.553 0.053 0.500
0.694 0.694 0.000
0.947 0.447 0.500
0.948 0.052 0.500
0.948 0.448 0.897
0.135 0.382 0.753
0.618 0.371 0.753
0.618 0.865 0.247
0.629 0.382 0.247
```


[14]
The following is a DFT calculation (GGA-PBE) of an optimized crystal structure of Fe3Mo3N.

Calculated values
ΔH_f (0 K)   -0.19 eV/atom
Space-group type   Fd-3m, No. 227
Crystal system   cubic
Corrected total energy (MP2020 scheme)   -270.336 eV for the cell shown

```
Fe3Mo3N
1.0
0.000 5.518 5.518
5.518 0.000 5.518
5.518 5.518 0.000
Fe Mo N
12 12 4
Direct
0.000 0.000 0.000
0.000 0.000 0.500
0.000 0.500 0.000
0.106 0.798 0.798
0.202 0.202 0.202
0.202 0.202 0.894
0.202 0.894 0.202
0.500 0.000 0.000
0.798 0.106 0.798
0.798 0.798 0.106
0.798 0.798 0.798
0.894 0.202 0.202
0.173 0.173 0.577
0.173 0.577 0.173
0.173 0.577 0.577
0.423 0.423 0.827
0.423 0.827 0.423
0.423 0.827 0.827
0.577 0.173 0.173
0.577 0.173 0.577
0.577 0.577 0.173
0.827 0.423 0.423
0.827 0.423 0.827
0.827 0.827 0.423
0.000 0.500 0.500
0.500 0.000 0.500
0.500 0.500 0.000
0.500 0.500 0.500
```


[15]
The following is a DFT calculation (GGA-PBE) of an optimized crystal structure of NdFe10Mo2N.

Calculated values
ΔH_f (0 K)   -0.09 eV/atom
Space-group type   Immm, No. 71
Crystal system   orthorhombic
Corrected total energy (MP2020 scheme)   -120.740 eV for the cell shown

```
NdFe10Mo2N
1.0
-2.426 4.324 4.343
2.426 -4.324 4.343
2.426 4.324 -4.343
Nd Fe Mo N
1 10 2 1
Direct
0.000 0.000 0.000
0.000 0.000 0.500
0.000 0.500 0.000
0.221 0.721 0.500
0.223 0.500 0.723
0.361 0.361 0.000
0.500 0.000 0.000
0.500 0.500 0.500
0.639 0.639 0.000
0.777 0.500 0.277
0.779 0.279 0.500
0.360 0.000 0.360
0.640 0.000 0.640
0.000 0.500 0.500
```


[16]
The following is a DFT calculation (GGA-PBE) of an optimized crystal structure of FeNi3Mo6N2.

Calculated values
ΔH_f (0 K)   -0.28 eV/atom
Space-group type   P2_1, No. 4
Crystal system   monoclinic
Corrected total energy (MP2020 scheme)   -221.847 eV for the cell shown

```
FeNi3Mo6N2
1.0
6.666 0.000 0.000
0.000 6.670 0.000
-0.018 0.000 6.675
Fe Ni Mo N
2 6 12 4
Direct
0.179 0.000 0.430
0.821 0.500 0.570
0.066 0.245 0.682
0.318 0.361 0.933
0.434 0.113 0.185
0.566 0.613 0.815
0.682 0.861 0.067
0.934 0.745 0.318
0.050 0.054 0.047
0.127 0.378 0.296
0.200 0.631 0.622
0.299 0.726 0.123
0.374 0.977 0.799
0.457 0.307 0.551
0.543 0.807 0.449
0.626 0.477 0.201
0.701 0.226 0.877
0.800 0.131 0.378
0.873 0.878 0.704
0.950 0.554 0.953
0.125 0.802 0.875
0.375 0.553 0.374
0.625 0.053 0.626
0.875 0.302 0.125
```


[17]
The following is a DFT calculation (GGA-PBE) of an optimized crystal structure of Fe3NiMo6N2.

Calculated values
ΔH_f (0 K)   -0.23 eV/atom
Space-group type   P2_1, No. 4
Crystal system   monoclinic
Corrected total energy (MP2020 scheme)   -231.397 eV for the cell shown

```
Fe3NiMo6N2
1.0
6.689 0.000 0.000
0.000 6.691 0.000
-0.028 0.000 6.693
Fe Ni Mo N
6 2 12 4
Direct
0.069 0.000 0.322
0.180 0.251 0.569
0.429 0.140 0.817
0.571 0.640 0.183
0.820 0.751 0.431
0.931 0.500 0.678
0.317 0.888 0.068
0.683 0.388 0.932
0.049 0.193 0.954
0.125 0.867 0.701
0.203 0.619 0.374
0.298 0.521 0.875
0.376 0.272 0.201
0.452 0.944 0.452
0.548 0.444 0.548
0.624 0.772 0.799
0.702 0.021 0.125
0.797 0.119 0.626
0.875 0.367 0.299
0.951 0.693 0.046
0.125 0.445 0.125
0.375 0.695 0.626
0.625 0.195 0.374
0.875 0.945 0.875
```